Here is a relaxed structure of CaYZn2 from Materials Project. Energies are from GGA-PBE.

Unit cell a=5.1229 b=5.1229 c=5.1229 alpha=60.00 beta=60.00 gamma=60.00
With the nearest neighbours (Å) after each atom.
Positions (direct):
1 Ca 0.0000 0.0000 0.0000  8 Zn 3.14
2 Y 0.5000 0.5000 0.5000  8 Zn 3.14
3 Zn 0.7500 0.7500 0.7500  4 Ca 3.14, 4 Y 3.14
4 Zn 0.2500 0.2500 0.2500  4 Y 3.14, 4 Ca 3.14

Summary:
crystal system	cubic
space group	Fm-3m
formation enthalpy at 0 K	-0.305	eV/atom

=====

Here is a relaxed structure of CaZn from Materials Project. Energies are from GGA-PBE.

Unit cell a=3.6728 b=5.2263 c=5.2392 alpha=90.00 beta=90.00 gamma=90.00
With the nearest neighbours (Å) after each atom.
Positions (direct):
1 Ca 0.0000 0.7500 0.2450  8 Zn 3.17-3.23
2 Ca 0.0000 0.2500 0.7550  8 Zn 3.17-3.23
3 Zn 0.5000 0.2500 0.2615  8 Ca 3.17-3.23
4 Zn 0.5000 0.7500 0.7385  8 Ca 3.17-3.23

Summary:
crystal system	orthorhombic
space group	Pmma
formation enthalpy at 0 K	-0.240	eV/atom

=====

Here is a relaxed structure of CaZn from Materials Project. Energies are from GGA-PBE.

Unit cell a=3.8841 b=3.8841 c=3.8841 alpha=78.21 beta=78.21 gamma=78.21
With the nearest neighbours (Å) after each atom.
Positions (direct):
1 Ca 0.0000 0.0000 0.0000  6 Zn 3.13
2 Zn 0.5000 0.5000 0.5000  6 Ca 3.13

Summary:
crystal system	trigonal
space group	R-3m
formation enthalpy at 0 K	-0.108	eV/atom

=====

Here is a relaxed structure of CaZn3 from Materials Project. Energies are from GGA-PBE.

Unit cell a=9.1209 b=9.1209 c=9.7624 alpha=90.00 beta=90.00 gamma=120.00
With the nearest neighbours (Å) after each atom.
Positions (direct):
1 Ca 0.0000 0.0000 0.7500  2 Zn 2.44
2 Ca 0.5432 0.0864 0.2500  4 Zn 2.87-3.19
3 Ca 0.9136 0.4568 0.2500  4 Zn 2.87-3.19
4 Ca 0.0864 0.5432 0.7500  4 Zn 2.87-3.19
5 Ca 0.4568 0.5432 0.7500  4 Zn 2.87-3.19
6 Ca 0.0000 0.0000 0.2500  2 Zn 2.44
7 Ca 0.5432 0.4568 0.2500  4 Zn 2.87-3.19
8 Ca 0.4568 0.9136 0.7500  4 Zn 2.87-3.19
9 Zn 0.8315 0.6630 0.5077  5 Zn 2.58-2.67
10 Zn 0.1685 0.3370 0.0077  5 Zn 2.58-2.67
11 Zn 0.3370 0.1685 0.9923  5 Zn 2.58-2.67
12 Zn 0.8315 0.1685 0.9923  5 Zn 2.58-2.67
13 Zn 0.3333 0.6667 0.4910  6 Zn 2.60-2.82
14 Zn 0.2343 0.4687 0.2500  6 Zn 2.58-2.82, 2 Ca 2.87
15 Zn 0.8315 0.1685 0.5077  5 Zn 2.58-2.67
16 Zn 0.8315 0.6630 0.9923  5 Zn 2.58-2.67
17 Zn 0.6667 0.3333 0.9910  6 Zn 2.60-2.82
18 Zn 0.1685 0.8315 0.0077  5 Zn 2.58-2.67
19 Zn 0.6630 0.8315 0.4923  5 Zn 2.58-2.67
20 Zn 0.4687 0.2343 0.7500  6 Zn 2.58-2.82, 2 Ca 2.87
21 Zn 0.3370 0.1685 0.5077  5 Zn 2.58-2.67
22 Zn 0.5313 0.7657 0.2500  6 Zn 2.58-2.82, 2 Ca 2.87
23 Zn 0.6630 0.8315 0.0077  5 Zn 2.58-2.67
24 Zn 0.1685 0.8315 0.4923  5 Zn 2.58-2.67
25 Zn 0.6667 0.3333 0.5090  6 Zn 2.60-2.82
26 Zn 0.0000 0.0000 0.5000  2 Ca 2.44, 6 Zn 2.66
27 Zn 0.7657 0.2343 0.7500  6 Zn 2.58-2.82, 2 Ca 2.87
28 Zn 0.3333 0.6667 0.0090  6 Zn 2.60-2.82
29 Zn 0.2343 0.7657 0.2500  6 Zn 2.58-2.82, 2 Ca 2.87
30 Zn 0.1685 0.3370 0.4923  5 Zn 2.58-2.67
31 Zn 0.7657 0.5313 0.7500  6 Zn 2.58-2.82, 2 Ca 2.87
32 Zn 0.0000 0.0000 0.0000  2 Ca 2.44, 6 Zn 2.66

Summary:
crystal system	hexagonal
space group	P6_3/mmc
formation enthalpy at 0 K	-0.008	eV/atom

=====

Here is a relaxed structure of CaZn from Materials Project. Energies are from GGA-PBE.

Unit cell a=4.7827 b=4.7827 c=4.7827 alpha=60.00 beta=60.00 gamma=60.00
With the nearest neighbours (Å) after each atom.
Positions (direct):
1 Ca 0.0000 0.0000 0.0000  4 Zn 2.93
2 Zn 0.7500 0.7500 0.7500  4 Ca 2.93

Summary:
crystal system	cubic
space group	F-43m
formation enthalpy at 0 K	0.379	eV/atom

=====

Here is a relaxed structure of CaZn from Materials Project. Energies are from GGA-PBE.

Unit cell a=3.7035 b=3.7035 c=3.7035 alpha=90.00 beta=90.00 gamma=90.00
With the nearest neighbours (Å) after each atom.
Positions (direct):
1 Ca 0.0000 0.0000 0.0000  8 Zn 3.21
2 Zn 0.5000 0.5000 0.5000  8 Ca 3.21

Summary:
crystal system	cubic
space group	Pm-3m
formation enthalpy at 0 K	-0.242	eV/atom

=====

Here is a relaxed structure of CaZn2 from Materials Project. Energies are from GGA-PBE.

Unit cell a=5.6478 b=5.6478 c=8.8342 alpha=90.00 beta=90.00 gamma=120.00
With the nearest neighbours (Å) after each atom.
Positions (direct):
1 Ca 0.3333 0.6667 0.9415  12 Zn 3.17-3.30, 4 Ca 3.38-3.42
2 Ca 0.6667 0.3333 0.4415  12 Zn 3.17-3.30, 4 Ca 3.38-3.42
3 Ca 0.6667 0.3333 0.0585  12 Zn 3.17-3.30, 4 Ca 3.38-3.42
4 Ca 0.3333 0.6667 0.5585  12 Zn 3.17-3.30, 4 Ca 3.38-3.42
5 Zn 0.0000 0.0000 0.0000  6 Zn 2.75
6 Zn 0.0000 0.0000 0.5000  6 Zn 2.75
7 Zn 0.3341 0.1670 0.7500  6 Zn 2.75-2.83
8 Zn 0.1670 0.8330 0.2500  6 Zn 2.75-2.83
9 Zn 0.1670 0.3341 0.2500  6 Zn 2.75-2.83
10 Zn 0.8330 0.6659 0.7500  6 Zn 2.75-2.83
11 Zn 0.8330 0.1670 0.7500  6 Zn 2.75-2.83
12 Zn 0.6659 0.8330 0.2500  6 Zn 2.75-2.83

Summary:
crystal system	hexagonal
space group	P6_3/mmc
formation enthalpy at 0 K	-0.274	eV/atom

=====

Here is a relaxed structure of CaZn3 from Materials Project. Energies are from GGA-PBE.

Unit cell a=4.3348 b=4.3348 c=4.3348 alpha=90.00 beta=90.00 gamma=90.00
With the nearest neighbours (Å) after each atom.
Positions (direct):
1 Ca 0.0000 0.0000 0.0000  12 Zn 3.07
2 Zn 0.5000 0.5000 0.0000  4 Ca 3.07, 8 Zn 3.07
3 Zn 0.5000 0.0000 0.5000  4 Ca 3.07, 8 Zn 3.07
4 Zn 0.0000 0.5000 0.5000  4 Ca 3.07, 8 Zn 3.07

Summary:
crystal system	cubic
space group	Pm-3m
formation enthalpy at 0 K	-0.107	eV/atom

=====

Here is a relaxed structure of Ca3Zn from Materials Project. Energies are from GGA-PBE.

Unit cell a=6.9232 b=6.9232 c=10.1450 alpha=90.00 beta=90.00 gamma=145.66
With the nearest neighbours (Å) after each atom.
Positions (direct):
1 Ca 0.5685 0.4315 0.7500  2 Zn 3.13
2 Ca 0.4315 0.5685 0.2500  2 Zn 3.13
3 Ca 0.8578 0.1422 0.9394  3 Zn 3.16-3.44
4 Ca 0.1422 0.8578 0.0606  3 Zn 3.16-3.44
5 Ca 0.1422 0.8578 0.4394  3 Zn 3.16-3.44
6 Ca 0.8578 0.1422 0.5606  3 Zn 3.16-3.44
7 Zn 0.2472 0.7528 0.7500  8 Ca 3.13-3.44
8 Zn 0.7528 0.2472 0.2500  8 Ca 3.13-3.44

Summary:
relative energy among the computed polymorphs	0.000	eV/atom
crystal system	orthorhombic
space group	Cmcm
formation enthalpy at 0 K	-0.119	eV/atom

=====

Here is a relaxed structure of Ca3Zn from Materials Project. Energies are from GGA-PBE.

Unit cell a=6.3463 b=6.3463 c=6.3463 alpha=133.42 beta=133.42 gamma=67.99
With the nearest neighbours (Å) after each atom.
Positions (direct):
1 Ca 0.5000 0.5000 0.0000  4 Zn 3.55, 8 Ca 3.64
2 Ca 0.2500 0.7500 0.5000  8 Ca 3.55-3.64, 4 Zn 3.64
3 Ca 0.7500 0.2500 0.5000  8 Ca 3.55-3.64, 4 Zn 3.64
4 Zn 0.0000 0.0000 0.0000  12 Ca 3.55-3.64

Summary:
relative energy among the computed polymorphs	0.144	eV/atom
crystal system	tetragonal
space group	I4/mmm
formation enthalpy at 0 K	0.025	eV/atom

=====

Here is a relaxed structure of CaZn3 from Materials Project. Energies are from GGA-PBE.

Unit cell a=6.3932 b=6.3932 c=4.6042 alpha=90.00 beta=90.00 gamma=120.00
With the nearest neighbours (Å) after each atom.
Positions (direct):
1 Ca 0.6667 0.3333 0.2500  12 Zn 3.12-3.21
2 Ca 0.3333 0.6667 0.7500  12 Zn 3.12-3.21
3 Zn 0.1438 0.2876 0.2500  6 Zn 2.76-2.80
4 Zn 0.7124 0.8562 0.2500  6 Zn 2.76-2.80
5 Zn 0.1438 0.8562 0.2500  6 Zn 2.76-2.80
6 Zn 0.2876 0.1438 0.7500  6 Zn 2.76-2.80
7 Zn 0.8562 0.1438 0.7500  6 Zn 2.76-2.80
8 Zn 0.8562 0.7124 0.7500  6 Zn 2.76-2.80

Summary:
crystal system	hexagonal
space group	P6_3/mmc
formation enthalpy at 0 K	-0.201	eV/atom

=====

Here is a relaxed structure of CaZn from Materials Project. Energies are from GGA-PBE.

Unit cell a=3.9182 b=3.9182 c=4.3306 alpha=90.00 beta=90.00 gamma=120.00
With the nearest neighbours (Å) after each atom.
Positions (direct):
1 Ca 0.0000 0.0000 0.0000  6 Zn 3.13
2 Zn 0.6667 0.3333 0.5000  6 Ca 3.13

Summary:
crystal system	hexagonal
space group	P-6m2
formation enthalpy at 0 K	-0.051	eV/atom

=====

Here is a relaxed structure of Ca3Zn from Materials Project. Energies are from GGA-PBE.

Unit cell a=5.0795 b=5.0795 c=5.0795 alpha=90.00 beta=90.00 gamma=90.00
With the nearest neighbours (Å) after each atom.
Positions (direct):
1 Ca 0.5000 0.5000 0.0000  8 Ca 3.59, 4 Zn 3.59
2 Ca 0.5000 0.0000 0.5000  8 Ca 3.59, 4 Zn 3.59
3 Ca 0.0000 0.5000 0.5000  8 Ca 3.59, 4 Zn 3.59
4 Zn 0.0000 0.0000 0.0000  12 Ca 3.59

Summary:
relative energy among the computed polymorphs	0.115	eV/atom
crystal system	cubic
space group	Pm-3m
formation enthalpy at 0 K	-0.004	eV/atom

=====

Here is a relaxed structure of CaZn from Materials Project. Energies are from GGA-PBE.

Unit cell a=5.1938 b=5.1938 c=6.2095 alpha=90.00 beta=90.00 gamma=120.00
With the nearest neighbours (Å) after each atom.
Positions (direct):
1 Ca 0.3333 0.6667 0.7500  5 Zn 3.00-3.10
2 Ca 0.6667 0.3333 0.2500  5 Zn 3.00-3.10
3 Zn 0.3333 0.6667 0.2500  5 Ca 3.00-3.10
4 Zn 0.6667 0.3333 0.7500  5 Ca 3.00-3.10

Summary:
crystal system	hexagonal
space group	P6_3/mmc
formation enthalpy at 0 K	0.216	eV/atom